VASP calculation (PBE) on HfNb2VC4 after structural relaxation.

Cell: 10.4325 10.4325 10.4325 Å, 17.41 17.41 17.41°
Fractional coordinates of all 8 atoms:
C (0.3803, 0.3803, 0.3803)
Nb (0.4970, 0.4970, 0.4970)
C (0.6248, 0.6248, 0.6248)
C (0.1214, 0.1214, 0.1214)
Nb (0.2487, 0.2487, 0.2487)
Hf (0.0030, 0.0030, 0.0030)
C (0.8732, 0.8732, 0.8732)
V (0.7517, 0.7517, 0.7517)

Output
symmetry = R3m (160)
DFT formation energy = -0.536 eV/atom
total magnetic moment = 0.0 μB/f.u.



VASP calculation (PBE) on Hf2SnC after structural relaxation.

Cell: 3.3320 3.3320 14.5804 Å, 90.00 90.00 120.00°
Fractional coordinates of all 8 atoms:
Sn (0.3333, 0.6667, 0.7500)
Hf (0.3333, 0.6667, 0.0846)
Hf (0.6667, 0.3333, 0.9154)
C (0.0000, 0.0000, 0.5000)
C (0.0000, 0.0000, 0.0000)
Sn (0.6667, 0.3333, 0.2500)
Hf (0.3333, 0.6667, 0.4154)
Hf (0.6667, 0.3333, 0.5846)

Output
symmetry = P6_3/mmc (194)
DFT formation energy = -0.771 eV/atom



VASP calculation (PBE) on HfTaC2 after structural relaxation.

Cell: 5.5972 5.5972 5.5972 Å, 33.41 33.41 33.41°
Fractional coordinates of all 4 atoms:
C (0.2469, 0.2469, 0.2469)
Ta (0.5000, 0.5000, 0.5000)
Hf (0.0000, 0.0000, 0.0000)
C (0.7531, 0.7531, 0.7531)

Output
symmetry = R-3m (166)
DFT formation energy = -0.805 eV/atom



VASP calculation (PBE) on HfTiC2 after structural relaxation.

Cell: 5.4796 5.4796 5.4796 Å, 33.89 33.89 33.89°
Fractional coordinates of all 4 atoms:
C (0.7541, 0.7541, 0.7541)
Hf (0.0000, 0.0000, 0.0000)
Ti (0.5000, 0.5000, 0.5000)
C (0.2459, 0.2459, 0.2459)

Output
symmetry = R-3m (166)
DFT formation energy = -0.829 eV/atom
total magnetic moment = 0.0 μB/f.u.



VASP calculation (PBE) on HfWC2 after structural relaxation.

Cell: 5.5262 5.5262 5.5262 Å, 33.40 33.40 33.40°
Fractional coordinates of all 4 atoms:
Hf (0.0000, 0.0000, 0.0000)
W (0.5000, 0.5000, 0.5000)
C (0.2458, 0.2458, 0.2458)
C (0.7542, 0.7542, 0.7542)

Output
symmetry = R-3m (166)
DFT formation energy = -0.427 eV/atom
total magnetic moment = 0.0 μB/f.u.



VASP calculation (PBE) on Hf3Zn3C after structural relaxation.

Cell: 8.5677 8.5677 8.5677 Å, 60.00 60.00 60.00°
Fractional coordinates of all 28 atoms:
Zn (0.5049, 0.8317, 0.8317)
C (0.1250, 0.6250, 0.1250)
Zn (0.8317, 0.5049, 0.8317)
Zn (0.4183, 0.4183, 0.7451)
Hf (0.4380, 0.4380, 0.0620)
Hf (0.8120, 0.8120, 0.1880)
C (0.6250, 0.1250, 0.1250)
Hf (0.1880, 0.8120, 0.8120)
Zn (0.1250, 0.6250, 0.6250)
Zn (0.7451, 0.4183, 0.4183)
Zn (0.8317, 0.8317, 0.8317)
Hf (0.0620, 0.4380, 0.4380)
Hf (0.8120, 0.1880, 0.8120)
Hf (0.4380, 0.0620, 0.0620)
Hf (0.8120, 0.1880, 0.1880)
Hf (0.1880, 0.8120, 0.1880)
Zn (0.6250, 0.1250, 0.6250)
Hf (0.0620, 0.0620, 0.4380)
Hf (0.0620, 0.4380, 0.0620)
Hf (0.1880, 0.1880, 0.8120)
Hf (0.4380, 0.0620, 0.4380)
C (0.1250, 0.1250, 0.1250)
Zn (0.4183, 0.7451, 0.4183)
Zn (0.4183, 0.4183, 0.4183)
Zn (0.6250, 0.6250, 0.6250)
Zn (0.8317, 0.8317, 0.5049)
C (0.1250, 0.1250, 0.6250)
Zn (0.6250, 0.6250, 0.1250)

Output
symmetry = Fd-3m (227)
DFT formation energy = -0.479 eV/atom



VASP calculation (PBE) on HfZrC2 after structural relaxation.

Cell: 3.3174 3.3174 4.6778 Å, 90.00 90.00 90.00°
Fractional coordinates of all 4 atoms:
C (0.5000, 0.5000, 0.0000)
Zr (0.5000, 0.5000, 0.5000)
Hf (0.0000, 0.0000, 0.0000)
C (0.0000, 0.0000, 0.5000)

Output
symmetry = P4/mmm (123)
DFT formation energy = -0.868 eV/atom



VASP calculation (PBE) on Hg3C after structural relaxation.

Cell: 5.2467 5.2467 5.2467 Å, 131.60 131.60 70.86°
Fractional coordinates of all 4 atoms:
Hg (0.2500, 0.7500, 0.5000)
Hg (0.7500, 0.2500, 0.5000)
C (0.0000, 0.0000, 0.0000)
Hg (0.5000, 0.5000, 0.0000)

Output
symmetry = I4/mmm (139)
DFT formation energy = 1.510 eV/atom
energy relative to the lowest polymorph listed for this composition = 0 kJ/mol of formula units
total magnetic moment = 0.0 μB/f.u.



VASP calculation (PBE) on Hg3C after structural relaxation.

Cell: 4.2822 4.2822 4.2822 Å, 90.00 90.00 90.00°
Fractional coordinates of all 4 atoms:
C (0.0000, 0.0000, 0.0000)
Hg (0.5000, 0.0000, 0.5000)
Hg (0.0000, 0.5000, 0.5000)
Hg (0.5000, 0.5000, 0.0000)

Output
symmetry = Pm-3m (221)
DFT formation energy = 1.523 eV/atom
energy relative to the lowest polymorph listed for this composition = 5 kJ/mol of formula units
total magnetic moment = 0.0 μB/f.u.



VASP calculation (PBE) on Hg2C3I5N after structural relaxation.

Cell: 11.5451 11.5451 7.9282 Å, 89.84 89.84 96.78°
Fractional coordinates of all 22 atoms:
I (0.5830, 0.4193, 0.2600)
Hg (0.6823, 0.8209, 0.3400)
I (0.1458, 0.5398, 0.3442)
C (0.7522, 0.2566, 0.4368)
C (0.2566, 0.7522, 0.9368)
Hg (0.1823, 0.3188, 0.3375)
I (0.7544, 0.8810, 0.9586)
I (0.1190, 0.2446, 0.9600)
I (0.8643, 0.4635, 0.8501)
N (0.8196, 0.1913, 0.5141)
I (0.4193, 0.5830, 0.7600)
N (0.1913, 0.8196, 0.0141)
I (0.4635, 0.8643, 0.3501)
C (0.6884, 0.3182, 0.3661)
I (0.8810, 0.7544, 0.4586)
Hg (0.8209, 0.6823, 0.8400)
C (0.3182, 0.6884, 0.8661)
I (0.2446, 0.1190, 0.4600)
C (0.8808, 0.1316, 0.5879)
I (0.5398, 0.1458, 0.8442)
Hg (0.3188, 0.1823, 0.8375)
C (0.1316, 0.8808, 0.0879)

Output
symmetry = Cc (9)
energy with MP2020 corrections = -3.691 eV/atom
DFT formation energy = 0.331 eV/atom
total magnetic moment = 0.0 μB/f.u.



VASP calculation (PBE) on HgCI3N after structural relaxation.

Cell: 8.8800 7.8292 18.9065 Å, 90.00 75.40 90.00°
Fractional coordinates of all 24 atoms:
I (0.3662, 0.7848, 0.1655)
N (0.1807, 0.7598, 0.9470)
Hg (0.4933, 0.0265, 0.2271)
C (0.4538, 0.2515, 0.5464)
Hg (0.5067, 0.9735, 0.7729)
I (0.6829, 0.2395, 0.5349)
I (0.6338, 0.2152, 0.8345)
C (0.9538, 0.2485, 0.0464)
I (0.3686, 0.7281, 0.7194)
I (0.6314, 0.2719, 0.2806)
Hg (0.9933, 0.4735, 0.7271)
I (0.1314, 0.2281, 0.7806)
C (0.0461, 0.7515, 0.9536)
I (0.8662, 0.7152, 0.6655)
I (0.1829, 0.2605, 0.0349)
N (0.6807, 0.7402, 0.4470)
I (0.8171, 0.7395, 0.9651)
Hg (0.0067, 0.5265, 0.2729)
I (0.8686, 0.7719, 0.2194)
N (0.3193, 0.2598, 0.5530)
C (0.5462, 0.7485, 0.4536)
I (0.1338, 0.2848, 0.3345)
N (0.8193, 0.2402, 0.0530)
I (0.3171, 0.7605, 0.4651)

Output
symmetry = P2_1/c (14)
energy with MP2020 corrections = -3.598 eV/atom
DFT formation energy = 0.143 eV/atom
energy relative to the lowest polymorph listed for this composition = 0 kJ/mol of formula units
total magnetic moment = 0.0 μB/f.u.



VASP calculation (PBE) on HgC8I4N2 after structural relaxation.

Cell: 8.4766 14.2291 17.9380 Å, 90.00 90.00 90.00°
Fractional coordinates of all 60 atoms:
I (0.2979, 0.0339, 0.1481)
N (0.0451, 0.6831, 0.8027)
C (0.9590, 0.7348, 0.8492)
C (0.0719, 0.8897, 0.3724)
C (0.6845, 0.0938, 0.9109)
C (0.9601, 0.8080, 0.9036)
C (0.3733, 0.3645, 0.2637)
I (0.0781, 0.5938, 0.5648)
I (0.7021, 0.5339, 0.3519)
I (0.2021, 0.9661, 0.6481)
C (0.1267, 0.6355, 0.7637)
C (0.8733, 0.1355, 0.7363)
Hg (0.4973, 0.4279, 0.8569)
C (0.0432, 0.3920, 0.0517)
C (0.6267, 0.8645, 0.2363)
N (0.4549, 0.3169, 0.3027)
I (0.4219, 0.4062, 0.0648)
Hg (0.5027, 0.9279, 0.6431)
C (0.4590, 0.7652, 0.1508)
I (0.7979, 0.4661, 0.8519)
C (0.5399, 0.1920, 0.4036)
I (0.4124, 0.2400, 0.5977)
C (0.3221, 0.7426, 0.1175)
N (0.5451, 0.8169, 0.1973)
Hg (0.9973, 0.0721, 0.1431)
C (0.4281, 0.1103, 0.8724)
C (0.8155, 0.9062, 0.4109)
I (0.0876, 0.7600, 0.0977)
N (0.1141, 0.8780, 0.4467)
I (0.5876, 0.7400, 0.9023)
C (0.9281, 0.3897, 0.1276)
I (0.7033, 0.1245, 0.1595)
C (0.5432, 0.1080, 0.9483)
C (0.9568, 0.8920, 0.4483)
C (0.4123, 0.6344, 0.6439)
C (0.4568, 0.6080, 0.5517)
I (0.7967, 0.8755, 0.6595)
I (0.9219, 0.0938, 0.9352)
C (0.0399, 0.3080, 0.5964)
C (0.6779, 0.2426, 0.3825)
I (0.5781, 0.9062, 0.4352)
I (0.9124, 0.2600, 0.4023)
N (0.9549, 0.1831, 0.6973)
I (0.2033, 0.3755, 0.8405)
C (0.8221, 0.7574, 0.8825)
C (0.9123, 0.8656, 0.3561)
C (0.5410, 0.2652, 0.3492)
C (0.1779, 0.2574, 0.6175)
C (0.5877, 0.1344, 0.8561)
C (0.3155, 0.5938, 0.5891)
Hg (0.0027, 0.5721, 0.3569)
C (0.4601, 0.6920, 0.0964)
C (0.1845, 0.4062, 0.0891)
I (0.2967, 0.6245, 0.3405)
C (0.5719, 0.6103, 0.6276)
C (0.0410, 0.2348, 0.6508)
N (0.8859, 0.3780, 0.0533)
N (0.3859, 0.1220, 0.9467)
N (0.6141, 0.6220, 0.5533)
C (0.0877, 0.3656, 0.1439)

Output
symmetry = P2_12_12_1 (19)
energy with MP2020 corrections = -5.369 eV/atom
DFT formation energy = 1.091 eV/atom
total magnetic moment = 0.0 μB/f.u.



VASP calculation (PBE) on HgCI3N after structural relaxation.

Cell: 7.7799 6.5052 17.6675 Å, 92.58 90.00 90.00°
Fractional coordinates of all 24 atoms:
N (0.7487, 0.2617, 0.9448)
Hg (0.8801, 0.6010, 0.8231)
I (0.7322, 0.3849, 0.1892)
N (0.7513, 0.7617, 0.4448)
I (0.2577, 0.8156, 0.5356)
I (0.7577, 0.6844, 0.9644)
C (0.7474, 0.0794, 0.9445)
C (0.7526, 0.5794, 0.4445)
Hg (0.6199, 0.1010, 0.3231)
Hg (0.1199, 0.3990, 0.1769)
I (0.2423, 0.3156, 0.0356)
I (0.2717, 0.1243, 0.8097)
I (0.7423, 0.1844, 0.4644)
I (0.2678, 0.6151, 0.8108)
I (0.7678, 0.8849, 0.6892)
I (0.2283, 0.6243, 0.3097)
I (0.7717, 0.3757, 0.6903)
N (0.2513, 0.7383, 0.0552)
I (0.2322, 0.1151, 0.3108)
Hg (0.3801, 0.8990, 0.6769)
C (0.2526, 0.9206, 0.0555)
C (0.2474, 0.4206, 0.5555)
N (0.2487, 0.2383, 0.5552)
I (0.7283, 0.8757, 0.1903)

Output
symmetry = P2_1/c (14)
energy with MP2020 corrections = -3.304 eV/atom
DFT formation energy = 0.436 eV/atom
energy relative to the lowest polymorph listed for this composition = 170 kJ/mol of formula units
total magnetic moment = 0.0 μB/f.u.



VASP calculation (PBE) on KHgC2 after structural relaxation.

Cell: 18.7199 18.3540 5.1789 Å, 86.00 77.98 16.02°
Fractional coordinates of all 16 atoms:
Hg (0.8352, 0.1648, 0.8352)
C (0.1247, 0.1253, 0.7503)
C (0.7503, 0.9997, 0.1247)
K (0.4358, 0.4358, 0.5642)
K (0.5642, 0.5642, 0.4358)
C (0.1253, 0.1247, 0.4997)
K (0.6858, 0.6858, 0.8142)
C (0.1253, 0.1247, 0.9997)
C (0.4997, 0.2503, 0.1253)
C (0.1247, 0.1253, 0.2503)
C (0.9997, 0.7503, 0.1253)
Hg (0.4148, 0.0852, 0.4148)
C (0.2503, 0.4997, 0.1247)
Hg (0.1648, 0.8352, 0.1648)
Hg (0.0852, 0.4148, 0.0852)
K (0.8142, 0.8142, 0.6858)

Output
symmetry = Fddd (70)
DFT formation energy = 0.224 eV/atom



VASP calculation (PBE) on KHgC3N3O3 after structural relaxation.

Cell: 4.1031 10.5721 17.9309 Å, 90.00 90.00 90.00°
Fractional coordinates of all 44 atoms:
O (0.7500, 0.8260, 0.8124)
O (0.2500, 0.0525, 0.7484)
O (0.2500, 0.5525, 0.7516)
N (0.7500, 0.9335, 0.9311)
C (0.2500, 0.6242, 0.3725)
N (0.7500, 0.4335, 0.5689)
O (0.7500, 0.9622, 0.4214)
O (0.7500, 0.4475, 0.2484)
N (0.2500, 0.5665, 0.4311)
Hg (0.2500, 0.1567, 0.9632)
C (0.2500, 0.1226, 0.5331)
O (0.7500, 0.4622, 0.0786)
Hg (0.7500, 0.3433, 0.4632)
C (0.7500, 0.3736, 0.2991)
N (0.2500, 0.2063, 0.8477)
O (0.2500, 0.6740, 0.3124)
Hg (0.7500, 0.8433, 0.0368)
N (0.7500, 0.2942, 0.9871)
N (0.7500, 0.2937, 0.3477)
K (0.2500, 0.0837, 0.3378)
C (0.2500, 0.1242, 0.1275)
C (0.7500, 0.3758, 0.6275)
C (0.2500, 0.6264, 0.7009)
O (0.2500, 0.0378, 0.5786)
N (0.7500, 0.7942, 0.5129)
N (0.2500, 0.0665, 0.0689)
O (0.7500, 0.9475, 0.2516)
K (0.2500, 0.5837, 0.1622)
O (0.7500, 0.3260, 0.6876)
K (0.7500, 0.9163, 0.6622)
N (0.2500, 0.7058, 0.0129)
O (0.2500, 0.1740, 0.1876)
N (0.2500, 0.2058, 0.4871)
Hg (0.2500, 0.6567, 0.5368)
C (0.2500, 0.1264, 0.7991)
N (0.2500, 0.7063, 0.6523)
C (0.7500, 0.8774, 0.4669)
N (0.7500, 0.7937, 0.1523)
C (0.7500, 0.8758, 0.8725)
O (0.2500, 0.5378, 0.9214)
C (0.2500, 0.6226, 0.9669)
K (0.7500, 0.4163, 0.8378)
C (0.7500, 0.8736, 0.2009)
C (0.7500, 0.3774, 0.0331)

Output
symmetry = Pnma (62)
energy with MP2020 corrections = -7.027 eV/atom
DFT formation energy = -0.759 eV/atom
total magnetic moment = 0.0 μB/f.u.



VASP calculation (PBE) on MnHgC4Se4N4 after structural relaxation.

Cell: 8.5502 8.5502 8.5502 Å, 94.70 94.70 146.74°
Fractional coordinates of all 14 atoms:
N (0.0290, 0.3441, 0.4107)
Se (0.1915, 0.1520, 0.7246)
C (0.0337, 0.8276, 0.6447)
N (0.9334, 0.6183, 0.5893)
Hg (0.0000, 0.0000, 0.0000)
N (0.3817, 0.9710, 0.3151)
Se (0.5331, 0.8085, 0.9605)
Se (0.8480, 0.5726, 0.0395)
C (0.1724, 0.8172, 0.2061)
Mn (0.7500, 0.2500, 0.5000)
N (0.6559, 0.0666, 0.6849)
Se (0.4274, 0.4669, 0.2754)
C (0.1828, 0.3890, 0.3553)
C (0.6110, 0.9663, 0.7939)

Output
symmetry = I-4 (82)
energy with MP2020 corrections = -6.576 eV/atom
DFT formation energy = 0.117 eV/atom
largest piezoelectric modulus = 0.1 C/m2
total magnetic moment = 5.0 μB/f.u.



VASP calculation (PBE) on HgC2N2 after structural relaxation.

Cell: 8.3649 8.3649 8.3649 Å, 107.39 107.39 113.73°
Fractional coordinates of all 20 atoms:
N (0.4999, 0.1333, 0.7747)
C (0.3660, 0.1172, 0.6590)
C (0.2930, 0.6340, 0.7513)
C (0.8840, 0.0430, 0.2513)
N (0.3833, 0.2499, 0.2747)
C (0.9570, 0.2083, 0.8410)
C (0.8828, 0.5417, 0.2487)
N (0.9752, 0.1086, 0.7253)
N (0.7501, 0.0248, 0.1334)
Hg (0.3397, 0.8750, 0.9647)
Hg (0.9103, 0.3750, 0.0353)
N (0.8667, 0.6414, 0.3666)
N (0.8914, 0.6167, 0.8666)
C (0.7917, 0.6328, 0.7487)
Hg (0.1250, 0.0897, 0.4647)
N (0.2748, 0.5001, 0.6334)
C (0.3672, 0.1160, 0.1590)
C (0.4583, 0.7070, 0.3410)
Hg (0.6250, 0.6603, 0.5353)
N (0.3586, 0.7252, 0.2253)

Output
symmetry = I-42d (122)
energy with MP2020 corrections = -6.662 eV/atom
DFT formation energy = 0.425 eV/atom
total magnetic moment = 0.0 μB/f.u.